This record from the Materials Project database describes crystalline ZnFe2O4 at its relaxed geometry. The functional is GGA+U.

POSCAR file:
```
ZnFe2O4
1.0
5.2284 -0.0013 3.0197
1.7425 4.9285 3.0181
-1.7415 -4.9298 3.0197
Zn Fe O
2 4 8
direct
0.8750 0.7500 0.8750 Zn
0.1250 0.2500 0.1250 Zn
0.0000 0.0000 0.5000 Fe
0.5000 0.5000 0.0000 Fe
0.5000 0.0000 0.5000 Fe
0.5000 0.5000 0.5000 Fe
0.7394 0.0211 0.7394 O
0.7394 0.4789 0.7394 O
0.2605 0.9789 0.7183 O
0.2606 0.9789 0.2606 O
0.2606 0.5211 0.2606 O
0.7395 0.0211 0.2817 O
0.2817 0.4789 0.7395 O
0.7183 0.5211 0.2605 O
```

Its formation energy is -1.745 eV/atom. For the energy above the most stable polymorph in this dataset, the calculation gives 0.0 meV per atom.